Here is Ti2Ni3Te3O16 after structural relaxation from the Materials Project. Energies are from GGA+U.

Cell lengths 10.5618, 6.0732, 9.3104 Å; angles 90.00, 91.37, 90.00 degrees
Last column: nearest neighbours and their distance in Å.
Space group Cm (No. 8)
Unique sites:
Ti  0.0000  0.0000  0.0000 x2  1 O 1.73
Ti  0.1851  0.5000  0.4470 x2  3 O 1.74-1.92
Ni  0.0357  0.5000  0.7499 x2  6 O 2.09-2.11
Ni  0.4440  0.2492  0.2555 x4  6 O 2.03-2.18
Te  0.1919  0.0000  0.2465 x2  6 O 1.91-2.02
Te  0.2843  0.2512  0.7450 x4  6 O 1.91-2.03
O  0.0340  0.5000  0.3694 x2  1 Ti 1.74
O  0.0406  0.0000  0.3572 x2  1 Te 1.92, 2 Ni 2.05
O  0.1032  0.2092  0.1130 x4  1 Ti 1.96, 1 Te 1.99, 1 Ni 2.18
O  0.1366  0.2780  0.6247 x4  1 Te 1.91, 1 Ni 2.09
O  0.2077  0.0000  0.8524 x2  2 Te 2.00
O  0.2111  0.5000  0.8629 x2  2 Te 2.03, 1 Ni 2.11
O  0.2669  0.2512  0.3616 x4  1 Ti 1.92, 1 Te 2.02, 1 Ni 2.14
O  0.3505  0.0000  0.1529 x2  1 Te 1.91, 2 Ni 2.03
O  0.3521  0.5000  0.6246 x2  2 Te 2.02
O  0.3618  0.0000  0.6364 x2  2 Te 2.02, 1 Ni 2.10
O  0.3753  0.5000  0.1168 x2  1 Ti 1.73
O  0.4396  0.2526  0.8556 x4  1 Te 1.92, 1 Ni 2.10, 1 Ti 2.10

## Properties
ΔE_f   -1.821 eV per atom
Uncorrected energy   -146.826 eV per formula unit

=====

Here is Ti3Ni3Te2O16 after structural relaxation from the Materials Project. Energies are from GGA+U.

Cell lengths 10.3892, 5.9091, 9.2343 Å; angles 90.00, 91.30, 90.00 degrees
Last column: nearest neighbours and their distance in Å.
Space group Cm (No. 8)
Unique sites:
Ti  0.0000  0.0000  0.0000 x2  6 O 1.89-2.08
Ti  0.0714  0.2511  0.5077 x4  6 O 1.89-2.05
Ni  0.2465  0.2533  0.0087 x4  4 O 1.87-2.00
Ni  0.3296  0.0000  0.5112 x2  6 O 2.01-2.12
Te  0.3197  0.5000  0.7338 x2  6 O 1.92-2.00
Te  0.4844  0.0000  0.2287 x2  6 O 1.93-2.00
O  0.0079  0.5000  0.6157 x2  2 Ti 1.90, 1 Ni 2.07
O  0.0613  0.2598  0.1155 x4  1 Te 1.95, 1 Ti 1.97
O  0.1321  0.5000  0.3706 x2  1 Te 2.00, 2 Ti 2.05
O  0.1521  0.0000  0.4205 x2  2 Ti 1.89, 1 Ni 2.01
O  0.1642  0.0000  0.9162 x2  1 Ti 1.89, 2 Ni 1.91
O  0.1806  0.5000  0.8780 x2  1 Te 1.99, 2 Ni 2.00
O  0.2409  0.2636  0.6193 x4  1 Te 1.92, 1 Ti 2.02, 1 Ni 2.08
O  0.3211  0.0000  0.1244 x2  1 Te 1.93, 2 Ni 1.99
O  0.3240  0.5000  0.1033 x2  2 Ni 1.87, 1 Ti 2.08
O  0.4050  0.2861  0.8680 x4  1 Te 1.97, 1 Ti 2.00, 1 Ni 2.13
O  0.4233  0.2236  0.3686 x4  1 Te 1.96, 1 Ti 1.99, 1 Ni 2.12
O  0.4761  0.5000  0.6112 x2  1 Te 2.00, 2 Ti 2.03

## Properties
ΔE_f   -2.021 eV per atom
Uncorrected energy   -156.381 eV per formula unit

=====

What is the uncorrected energy in the first record? -146.826 eV per formula unit